(1)
VASP calculation (GGA-PBE) on a relaxed structure of Pr2Co17.

Unit cell a=6.3428 b=6.3428 c=6.3428 alpha=82.99 beta=82.99 gamma=82.99
With the nearest neighbours (Å) after each atom.
Sites, in units of the cell vectors:
Co 0.6584 0.6584 0.1514  9 Co 2.41-2.63
Co 0.0000 0.5000 0.0000  10 Co 2.39-2.58
Co 0.0000 0.2848 0.7152  10 Co 2.39-2.66
Co 0.3416 0.3416 0.8486  9 Co 2.41-2.63
Co 0.1514 0.6584 0.6584  9 Co 2.41-2.63
Co 0.2848 0.7152 0.0000  10 Co 2.39-2.66
Co 0.8486 0.3416 0.3416  9 Co 2.41-2.63
Co 0.0000 0.0000 0.5000  10 Co 2.39-2.58
Co 0.6584 0.1514 0.6584  9 Co 2.41-2.63
Co 0.7152 0.2848 0.0000  10 Co 2.39-2.66
Co 0.2848 0.0000 0.7152  10 Co 2.39-2.66
Co 0.7152 0.0000 0.2848  10 Co 2.39-2.66
Co 0.3416 0.8486 0.3416  9 Co 2.41-2.63
Co 0.0000 0.7152 0.2848  10 Co 2.39-2.66
Co 0.9047 0.9047 0.9047  7 Co 2.34-2.59
Co 0.5000 0.0000 0.0000  10 Co 2.39-2.58
Co 0.0953 0.0953 0.0953  7 Co 2.34-2.59
Pr 0.6570 0.6570 0.6570  19 Co 3.03-3.25
Pr 0.3430 0.3430 0.3430  19 Co 3.03-3.25

Output
crystal system: trigonal
space-group type: R-3m (166)
energy relative to the elements: -0.0381 eV/atom

(2)
VASP calculation (GGA-PBE) on a relaxed structure of Na3Zn4P4H4NO16.

Unit cell a=8.3231 b=10.4910 c=17.5868 alpha=90.00 beta=90.00 gamma=90.00
With the nearest neighbours (Å) after each atom.
Sites, in units of the cell vectors:
O 0.6865 0.5652 0.6617  1 P 1.56
O 0.6865 0.4348 0.1617  1 P 1.56
O 0.6918 0.8076 0.9014  1 P 1.56
O 0.0313 0.3608 0.3618  1 P 1.56
O 0.8082 0.6924 0.4014  1 P 1.56
O 0.2688 0.2224 0.4050  1 P 1.55
O 0.4687 0.1392 0.8618  1 P 1.56
O 0.6965 0.0043 0.9836  1 P 1.56
O 0.8135 0.9348 0.1617  1 P 1.56
O 0.7312 0.7776 0.5950  1 P 1.55
O 0.0437 0.1097 0.0505  1 P 1.55
O 0.5437 0.6097 0.4495  1 P 1.55
O 0.2086 0.7570 0.7647  1 P 1.56
O 0.9687 0.3608 0.1382  1 P 1.56
O 0.7688 0.7224 0.0950  1 P 1.55
O 0.4687 0.8608 0.3618  1 P 1.56
O 0.1865 0.9348 0.3383  1 P 1.56
O 0.1948 0.0142 0.6529  1 P 1.56
O 0.3082 0.8076 0.5986  1 P 1.56
O 0.9687 0.6392 0.6382  1 P 1.56
O 0.4563 0.6097 0.0505  1 P 1.55
O 0.4563 0.3903 0.5505  1 P 1.55
O 0.5437 0.3903 0.9495  1 P 1.55
O 0.6948 0.5142 0.8471  1 P 1.56
O 0.8135 0.0652 0.6617  1 P 1.56
O 0.2914 0.2570 0.7647  1 P 1.56
O 0.1918 0.3076 0.5986  1 P 1.56
O 0.3052 0.4858 0.1529  1 P 1.56
O 0.3135 0.5652 0.8383  1 P 1.56
O 0.8082 0.3076 0.9014  1 P 1.56
O 0.7688 0.2776 0.5950  1 P 1.55
O 0.0313 0.6392 0.8618  1 P 1.56
O 0.1965 0.4957 0.0164  1 P 1.56
O 0.2312 0.2776 0.9050  1 P 1.55
O 0.7086 0.2570 0.7353  1 P 1.56
O 0.7312 0.2224 0.0950  1 P 1.55
O 0.2914 0.7430 0.2647  1 P 1.56
O 0.5313 0.1392 0.6382  1 P 1.56
O 0.1948 0.9858 0.1529  1 P 1.56
O 0.1965 0.5043 0.5164  1 P 1.56
O 0.6948 0.4858 0.3471  1 P 1.56
O 0.2312 0.7224 0.4050  1 P 1.55
O 0.6918 0.1924 0.4014  1 P 1.56
O 0.7086 0.7430 0.2353  1 P 1.56
O 0.9563 0.8903 0.9495  1 P 1.55
O 0.8052 0.0142 0.8471  1 P 1.56
O 0.5313 0.8608 0.1382  1 P 1.56
O 0.7914 0.2430 0.2353  1 P 1.56
O 0.2086 0.2430 0.2647  1 P 1.56
O 0.2688 0.7776 0.9050  1 P 1.55
O 0.3035 0.9957 0.0164  1 P 1.56
O 0.3035 0.0043 0.5164  1 P 1.56
O 0.3082 0.1924 0.0986  1 P 1.56
O 0.1865 0.0652 0.8383  1 P 1.56
O 0.3052 0.5142 0.6529  1 P 1.56
O 0.0437 0.8903 0.5505  1 P 1.55
O 0.6965 0.9957 0.4836  1 P 1.56
O 0.1918 0.6924 0.0986  1 P 1.56
O 0.8052 0.9858 0.3471  1 P 1.56
O 0.9563 0.1097 0.4495  1 P 1.55
O 0.3135 0.4348 0.3383  1 P 1.56
O 0.8035 0.5043 0.9836  1 P 1.56
O 0.8035 0.4957 0.4836  1 P 1.56
O 0.7914 0.7570 0.7353  1 P 1.56
H 0.0243 0.4744 0.7964  1 N 1.03
H 0.1005 0.3604 0.7396  1 N 1.04
H 0.6005 0.1396 0.2604  1 N 1.04
H 0.3995 0.1396 0.2396  1 N 1.04
H 0.4757 0.0256 0.2964  1 N 1.03
H 0.9757 0.4744 0.7036  1 N 1.03
H 0.4757 0.9744 0.7964  1 N 1.03
H 0.1005 0.6396 0.2396  1 N 1.04
H 0.3995 0.8604 0.7396  1 N 1.04
H 0.5243 0.9744 0.7036  1 N 1.03
H 0.6005 0.8604 0.7604  1 N 1.04
H 0.5243 0.0256 0.2036  1 N 1.03
H 0.8995 0.3604 0.7604  1 N 1.04
H 0.8995 0.6396 0.2604  1 N 1.04
H 0.9757 0.5256 0.2036  1 N 1.03
H 0.0243 0.5256 0.2964  1 N 1.03
Na 0.5124 0.1839 0.0038  6 O 2.38-2.64
Na 0.0000 0.9724 0.7500  4 O 2.40
Na 0.0000 0.0276 0.2500  4 O 2.40
Na 0.0124 0.6839 0.4962  6 O 2.38-2.64
Na 0.9876 0.6839 0.0038  6 O 2.38-2.64
Na 0.4876 0.8161 0.9962  6 O 2.38-2.64
Na 0.5124 0.8161 0.5038  6 O 2.38-2.64
Na 0.5000 0.4724 0.7500  4 O 2.40
Na 0.9876 0.3161 0.5038  6 O 2.38-2.64
Na 0.0124 0.3161 0.9962  6 O 2.38-2.64
Na 0.4876 0.1839 0.4962  6 O 2.38-2.64
Na 0.5000 0.5276 0.2500  4 O 2.40
Zn 0.1963 0.3202 0.1624  4 O 1.97-1.99
Zn 0.3037 0.8202 0.1624  4 O 1.97-1.99
Zn 0.8266 0.9494 0.5743  4 O 1.96-2.00
Zn 0.1734 0.9494 0.9257  4 O 1.96-2.00
Zn 0.8037 0.6798 0.8376  4 O 1.97-1.99
Zn 0.6734 0.5506 0.0743  4 O 1.96-2.00
Zn 0.8266 0.0506 0.0743  4 O 1.96-2.00
Zn 0.6734 0.4494 0.5743  4 O 1.96-2.00
Zn 0.3266 0.5506 0.4257  4 O 1.96-2.00
Zn 0.1963 0.6798 0.6624  4 O 1.97-1.99
Zn 0.6963 0.8202 0.3376  4 O 1.97-1.99
Zn 0.1734 0.0506 0.4257  4 O 1.96-2.00
Zn 0.8037 0.3202 0.3376  4 O 1.97-1.99
Zn 0.3266 0.4494 0.9257  4 O 1.96-2.00
Zn 0.6963 0.1798 0.8376  4 O 1.97-1.99
Zn 0.3037 0.1798 0.6624  4 O 1.97-1.99
P 0.2888 0.4311 0.5800  4 O 1.55-1.56
P 0.7112 0.4311 0.9200  4 O 1.55-1.56
P 0.2949 0.1861 0.8428  4 O 1.55-1.56
P 0.2888 0.5689 0.0800  4 O 1.55-1.56
P 0.2112 0.9311 0.5800  4 O 1.55-1.56
P 0.7051 0.8139 0.1572  4 O 1.55-1.56
P 0.2949 0.8139 0.3428  4 O 1.55-1.56
P 0.7888 0.9311 0.9200  4 O 1.55-1.56
P 0.7888 0.0689 0.4200  4 O 1.55-1.56
P 0.2112 0.0689 0.0800  4 O 1.55-1.56
P 0.7949 0.3139 0.1572  4 O 1.55-1.56
P 0.2051 0.3139 0.3428  4 O 1.55-1.56
P 0.7051 0.1861 0.6572  4 O 1.55-1.56
P 0.7949 0.6861 0.6572  4 O 1.55-1.56
P 0.7112 0.5689 0.4200  4 O 1.55-1.56
P 0.2051 0.6861 0.8428  4 O 1.55-1.56
N 0.5000 0.0831 0.2500  4 H 1.03-1.04
N 0.5000 0.9169 0.7500  4 H 1.03-1.04
N 0.0000 0.4169 0.7500  4 H 1.03-1.04
N 0.0000 0.5831 0.2500  4 H 1.03-1.04

Output
crystal system: orthorhombic
space-group type: Pbcn (60)
energy relative to the elements: -2.1738 eV/atom

(3)
VASP calculation (GGA-PBE) on a relaxed structure of SiTe2.

Unit cell a=3.7894 b=3.7894 c=7.1979 alpha=90.00 beta=90.00 gamma=120.00
With the nearest neighbours (Å) after each atom.
Sites, in units of the cell vectors:
Te 0.6667 0.3333 0.2273  3 Si 2.73
Te 0.3333 0.6667 0.7727  3 Si 2.73
Si 0.0000 0.0000 0.0000  6 Te 2.73

Output
crystal system: trigonal
space-group type: P-3m1 (164)
energy relative to the elements: -0.2377 eV/atom

(4)
VASP calculation (GGA-PBE) on a relaxed structure of SrLuCuSe3.

Unit cell a=7.0714 b=7.0714 c=10.4462 alpha=90.00 beta=90.00 gamma=146.64
With the nearest neighbours (Å) after each atom.
Sites, in units of the cell vectors:
Se 0.9226 0.0774 0.7500  2 Cu 2.49
Se 0.3622 0.6378 0.0615  1 Cu 2.46
Se 0.6378 0.3622 0.5615  1 Cu 2.46
Se 0.6378 0.3622 0.9385  1 Cu 2.46
Se 0.3622 0.6378 0.4385  1 Cu 2.46
Se 0.0774 0.9226 0.2500  2 Cu 2.49
Cu 0.4708 0.5292 0.2500  4 Se 2.46-2.49
Cu 0.5292 0.4708 0.7500  4 Se 2.46-2.49
Sr 0.2487 0.7513 0.7500  6 Se 3.11-3.20
Sr 0.7513 0.2487 0.2500  6 Se 3.11-3.20
Lu 0.0000 0.0000 0.0000  6 Se 2.81-2.83
Lu 0.0000 0.0000 0.5000  6 Se 2.81-2.83

Output
crystal system: orthorhombic
space-group type: Cmcm (63)
energy relative to the elements: -1.7651 eV/atom

(5)
VASP calculation (GGA-PBE) on a relaxed structure of Si2H2O3.

Unit cell a=8.5001 b=10.3639 c=12.5340 alpha=88.31 beta=104.77 gamma=108.11
With the nearest neighbours (Å) after each atom.
Sites, in units of the cell vectors:
O 0.2041 0.2543 0.4649  1 H 0.98
O 0.5857 0.0842 0.3294  1 H 0.98
O 0.5436 0.5869 0.2752  1 H 0.98
O 0.2080 0.4889 0.1419  2 Si 1.65-1.67
O 0.7560 0.0475 0.7804  2 Si 1.68-1.70
O 0.0901 0.9899 0.3793  2 Si 1.66
O 0.4193 0.1298 0.4678  2 Si 1.64-1.70
O 0.4114 0.9098 0.6717  1 H 1.03
O 0.8903 0.9059 0.6732  1 H 1.04
O 0.2508 0.9015 0.2433  1 H 1.02
O 0.0739 0.0720 0.1783  1 H 1.03
O 0.1065 0.7974 0.7855  1 H 0.98
O 0.7513 0.4504 0.2311  1 H 0.98
O 0.0262 0.7712 0.9755  2 Si 1.63-1.71
O 0.0437 0.9987 0.8820  1 H 0.98
O 0.6720 0.5042 0.5857  1 H 0.98
O 0.4283 0.6542 0.6445  1 H 0.98
O 0.9481 0.2535 0.2363  1 H 0.98
O 0.8308 0.5910 0.8126  1 H 1.00
O 0.4899 0.4401 0.7310  2 Si 1.65-1.70
O 0.0108 0.2544 0.0299  1 H 0.98
O 0.8151 0.7350 0.4996  2 Si 1.61-1.72
O 0.3724 0.1203 0.1431  1 H 1.58, 2 Si 1.72-1.73
O 0.5329 0.3418 0.3466  1 H 0.99
O 0.5795 0.8433 0.5358  2 Si 1.62-1.70
O 0.3543 0.3434 0.0566  2 Si 1.64-1.70
O 0.5839 0.8380 0.8599  1 H 0.98
O 0.3543 0.5819 0.8389  1 H 1.04
O 0.2620 0.4657 0.3550  2 Si 1.69-1.71
O 0.6866 0.6522 0.9621  2 Si 1.61-1.70
Si 0.7779 0.8668 0.5384  1 H 1.47, 2 O 1.61-1.62
Si 0.1965 0.4163 0.0218  2 O 1.67-1.70
Si 0.6633 0.4105 0.7158  1 O 1.65
Si 0.6809 0.4940 0.3340  3 O 1.68-1.75
Si 0.9492 0.0819 0.7556  1 O 1.68
Si 0.5119 0.7027 0.9546  3 O 1.70-1.88
Si 0.6108 0.1960 0.4477  1 O 1.64
Si 0.3776 0.7878 0.5520  3 O 1.70-1.90
Si 0.8996 0.1378 0.1224  3 O 1.77-1.86
Si 0.4391 0.9821 0.1901  2 O 1.73-1.84
Si 0.1845 0.8773 0.9234  2 O 1.71-1.81
Si 0.2892 0.5849 0.2580  2 O 1.65-1.71
Si 0.4601 0.2352 0.0557  2 O 1.64-1.72
Si 0.0373 0.9116 0.2552  1 O 1.66
Si 0.8623 0.6330 0.9493  1 H 1.47, 2 O 1.61-1.63
Si 0.8651 0.5859 0.5213  1 O 1.72
Si 0.5600 0.0068 0.8061  1 O 1.70
Si 0.2247 0.0699 0.4960  2 O 1.66-1.70
Si 0.3110 0.4898 0.7038  2 O 1.70-1.86
Si 0.0919 0.3700 0.3991  2 O 1.69-1.81
H 0.1921 0.1079 0.1625  1 O 1.03
H 0.8361 0.9849 0.4738  1 Si 1.47
H 0.9635 0.9724 0.9290  1 O 0.98
H 0.8154 0.5230 0.1926  1 O 0.98
H 0.2650 0.5264 0.8798  1 O 1.04
H 0.5494 0.6835 0.6853  1 O 0.98
H 0.9812 0.8587 0.7086  1 O 1.04
H 0.5770 0.5421 0.5597  1 O 0.98
H 0.8971 0.5228 0.0189  1 Si 1.47
H 0.6952 0.0668 0.3388  1 O 0.98
H 0.4118 0.3296 0.3097  1 O 0.99
H 0.6832 0.8279 0.8396  1 O 0.98
H 0.5961 0.6668 0.2370  1 O 0.98
H 0.8568 0.2956 0.2264  1 O 0.98
H 0.3332 0.9664 0.6358  1 O 1.03
H 0.3259 0.3022 0.4726  1 O 0.98
H 0.2529 0.8044 0.2553  1 O 1.02
H 0.9356 0.6402 0.7878  1 O 1.00
H 0.2009 0.8001 0.7529  1 O 0.98
H 0.9509 0.2187 0.9541  1 O 0.98

Output
crystal system: triclinic
space-group type: P1 (1)
energy relative to the elements: -1.5209 eV/atom
relative energy among the computed polymorphs: 555.8 meV/atom

(6)
VASP calculation (GGA-PBE) on a relaxed structure of Y4MgAg4O12.

Unit cell a=6.2033 b=6.9641 c=7.0800 alpha=90.00 beta=90.00 gamma=72.93
With the nearest neighbours (Å) after each atom.
Sites, in units of the cell vectors:
Y 0.0383 0.8835 0.7500  7 O 2.38-2.47
Y 0.4285 0.5420 0.2500  6 O 2.26-2.34
Y 0.9662 0.1458 0.2500  7 O 2.33-2.48
Y 0.5664 0.4601 0.7500  6 O 2.26-2.36
O 0.7224 0.3813 0.4454  1 Ag 2.25, 3 Y 2.30-2.36
O 0.5970 0.1211 0.7500  2 Ag 2.07, 1 Y 2.31
O 0.1142 0.4398 0.2500  1 Mg 2.14, 2 Ag 2.16, 1 Y 2.26
O 0.1813 0.0824 0.5322  1 Ag 2.02
O 0.5033 0.8405 0.2500  1 Mg 2.08, 2 Ag 2.11, 1 Y 2.26
O 0.2812 0.6238 0.9462  1 Ag 2.18, 3 Y 2.27-2.42
O 0.7224 0.3813 0.0546  1 Ag 2.25, 3 Y 2.30-2.36
O 0.2812 0.6238 0.5538  1 Ag 2.18, 3 Y 2.27-2.42
O 0.8589 0.9185 0.0505  1 Mg 1.99, 1 Ag 2.05
O 0.8034 0.6522 0.7500  2 Ag 2.18, 1 Y 2.26
O 0.8589 0.9185 0.4495  1 Mg 1.99, 1 Ag 2.05
O 0.1813 0.0824 0.9678  1 Ag 2.02
Ag 0.0310 0.4594 0.9534  4 O 2.16-2.25
Ag 0.0310 0.4594 0.5466  4 O 2.16-2.25
Ag 0.5199 0.9973 0.5027  4 O 2.02-2.11
Ag 0.5199 0.9973 0.9973  4 O 2.02-2.11
Mg 0.8524 0.7193 0.2500  4 O 1.99-2.14

Output
crystal system: monoclinic
space-group type: Pm (6)
energy relative to the elements: -2.2132 eV/atom

Number 4 is which compound? SrLuCuSe3

The lowest energy relative to the elements belongs to which entry? Y4MgAg4O12